1.
Entry from Materials Project: crystalline Na7Ga2Si3Sn2P3O24 at its relaxed geometry (GGA-PBE).

Summary:
Crystal system: triclinic
Density, g cm⁻³: 3.56
Corrected total energy (MP2020 scheme), eV per atom: -6.834
Size of the total moment, Bohr magnetons per cell: 0.00
SG: P1, No. 1

Unit cell a=8.9393 b=8.9519 c=22.1850 alpha=89.62 beta=89.62 gamma=60.11
Last column: nearest neighbours and their distance in Å.
Fractional coordinates of all 123 atoms:
Na: 0.0000 0.0000 0.0000  6 O 2.43-2.64
Na: 0.9998 0.2625 0.5021  6 O 2.43-2.64
Na: 0.0017 0.6313 0.2495  6 O 2.48-2.58
Na: 0.0136 0.6219 0.7503  6 O 2.46-2.63
Na: 0.0398 0.2924 0.8321  6 O 2.42-2.68
Na: 0.2987 0.6686 0.8314  6 O 2.44-2.69
Na: 0.3086 0.2957 0.3311  5 O 2.35-2.55
Na: 0.3346 0.9585 0.4168  6 O 2.46-2.61
Na: 0.3355 0.9642 0.9163  6 O 2.47-2.56
Na: 0.3383 0.5967 0.1668  5 O 2.40-2.60
Na: 0.3736 0.2580 0.0012  6 O 2.44-2.65
Na: 0.3749 0.6308 0.5000  6 O 2.45-2.61
Na: 0.6318 0.9982 0.4976  6 O 2.42-2.68
Na: 0.6326 0.6342 0.0001  6 O 2.41-2.70
Na: 0.6622 0.3024 0.5826  6 O 2.46-2.59
Na: 0.6662 0.6659 0.3337  6 O 2.41-2.64
Na: 0.6715 0.9275 0.8331  6 O 2.42-2.69
Na: 0.6738 0.2972 0.0830  6 O 2.47-2.61
Na: 0.6973 0.9655 0.1672  5 O 2.37-2.58
Na: 0.7003 0.5970 0.6644  5 O 2.38-2.59
Na: 0.9743 0.9657 0.6676  5 O 2.35-2.63
Ga: 0.3214 0.9664 0.7646  4 O 1.86-2.03
Ga: 0.3395 0.9565 0.5690  4 O 1.89-2.02
Ga: 0.3481 0.9611 0.0678  4 O 1.88-2.01
Ga: 0.6650 0.3050 0.4314  4 O 1.89-2.03
Ga: 0.6751 0.2872 0.9326  5 O 1.88-2.10
Ga: 0.9962 0.6392 0.9000  5 O 1.89-2.11
Si: 0.0529 0.2502 0.6664  4 O 1.62-1.68
Si: 0.3320 0.2565 0.1649  4 O 1.62-1.66
Si: 0.3360 0.6726 0.6668  4 O 1.63-1.65
Si: 0.3752 0.5912 0.3346  4 O 1.62-1.64
Si: 0.6283 0.6702 0.1650  4 O 1.63-1.64
Si: 0.6717 0.0087 0.3349  4 O 1.63-1.66
Si: 0.7024 0.6305 0.5003  4 O 1.64-1.65
Si: 0.7062 0.9262 0.9981  4 O 1.63-1.65
Si: 0.9656 0.0005 0.8347  4 O 1.63-1.66
Sn: 0.9998 0.6279 0.1010  6 O 2.02-2.16
Sn: 0.0070 0.6229 0.6032  6 O 2.02-2.17
Sn: 0.3357 0.9648 0.2690  6 O 2.01-2.12
Sn: 0.6678 0.2949 0.7307  6 O 2.02-2.11
Sn: 0.6690 0.2973 0.2304  6 O 1.99-2.15
Sn: 0.9987 0.6387 0.3973  6 O 2.00-2.15
P: 0.0012 0.3385 0.9966  4 O 1.55-1.56
P: 0.0021 0.9271 0.5007  4 O 1.54-1.57
P: 0.0485 0.9665 0.1633  4 O 1.54-1.57
P: 0.2961 0.6304 0.9975  4 O 1.55-1.56
P: 0.2985 0.3339 0.4991  4 O 1.54-1.56
P: 0.3759 0.2973 0.8356  4 O 1.55-1.56
P: 0.6180 0.9671 0.6665  4 O 1.53-1.58
P: 0.6701 0.5884 0.8350  4 O 1.55-1.56
P: 0.9590 0.2937 0.3356  4 O 1.52-1.57
O: 0.0151 0.4501 0.6639  1 Si 1.65
O: 0.0302 0.8014 0.1600  1 P 1.57
O: 0.0387 0.4205 0.9409  1 P 1.55
O: 0.0446 0.8031 0.4465  1 P 1.55
O: 0.1304 0.9912 0.1057  1 P 1.54
O: 0.1339 0.1322 0.6063  1 Si 1.63
O: 0.1422 0.1352 0.3297  1 P 1.55
O: 0.1554 0.6661 0.6615  1 Si 1.65
O: 0.1575 0.9835 0.8290  1 Si 1.65
O: 0.1614 0.1568 0.0038  1 P 1.55
O: 0.1610 0.1719 0.7281  1 Si 1.62
O: 0.1609 0.9290 0.2201  1 P 1.54
O: 0.1645 0.9448 0.5055  1 P 1.54
O: 0.1706 0.4553 0.1605  1 Si 1.64
O: 0.1794 0.6602 0.9424  1 P 1.55
O: 0.1815 0.4139 0.4425  1 P 1.56
O: 0.1896 0.5959 0.3392  1 Si 1.64
O: 0.1928 0.4586 0.8412  1 P 1.56
O: 0.2169 0.4582 0.5533  1 P 1.55
O: 0.2204 0.5906 0.0553  1 P 1.56
O: 0.2970 0.1810 0.2273  1 Si 1.63
O: 0.3012 0.7885 0.7273  1 Si 1.63
O: 0.3074 0.7968 0.0036  1 P 1.55
O: 0.3117 0.1564 0.5062  1 P 1.54
O: 0.3587 0.7812 0.3291  1 Si 1.64
O: 0.3653 0.1306 0.8288  1 P 1.55
O: 0.3683 0.1366 0.1059  1 Si 1.62
O: 0.3764 0.7508 0.6065  1 Si 1.63
O: 0.4533 0.3403 0.7796  1 P 1.56
O: 0.4530 0.4738 0.2736  1 Si 1.64
O: 0.4790 0.3162 0.4939  1 P 1.54
O: 0.4788 0.4689 0.9919  1 P 1.56
O: 0.4904 0.2664 0.8917  1 P 1.55
O: 0.4937 0.9940 0.3315  1 Si 1.66
O: 0.4974 0.5096 0.3933  1 Si 1.62
O: 0.5050 0.7513 0.1061  1 Si 1.63
O: 0.5102 0.7711 0.8284  1 P 1.55
O: 0.5106 0.2691 0.1684  1 Si 1.66
O: 0.5109 0.4821 0.6720  1 Si 1.65
O: 0.5139 0.8075 0.5060  1 Si 1.64
O: 0.5146 0.9423 0.0044  1 Si 1.65
O: 0.5161 0.9925 0.6087  1 P 1.53
O: 0.5402 0.9326 0.7240  1 P 1.55
O: 0.5499 0.7880 0.2257  1 Si 1.64
O: 0.6330 0.5051 0.8904  1 P 1.55
O: 0.6374 0.1292 0.3937  1 Si 1.63
O: 0.6450 0.4802 0.1703  1 Si 1.64
O: 0.6466 0.1246 0.6707  1 P 1.56
O: 0.6868 0.1193 0.9927  1 Si 1.65
O: 0.6902 0.4540 0.4944  1 Si 1.64
O: 0.7053 0.0839 0.2721  1 Si 1.63
O: 0.7048 0.4760 0.7774  1 P 1.56
O: 0.7882 0.6712 0.4411  1 Si 1.65
O: 0.7925 0.7986 0.9404  1 Si 1.63
O: 0.8037 0.8029 0.6622  1 P 1.58
O: 0.8146 0.6634 0.1612  1 Si 1.64
O: 0.8293 0.5901 0.5590  1 Si 1.65
O: 0.8321 0.8470 0.0577  1 Si 1.65
O: 0.8338 0.3262 0.9921  1 P 1.56
O: 0.8345 0.8102 0.3366  1 Si 1.64
O: 0.8373 0.1040 0.4939  1 P 1.54
O: 0.8375 0.6004 0.8399  1 P 1.56
O: 0.8403 0.0793 0.7748  1 Si 1.66
O: 0.8442 0.3336 0.2791  1 P 1.55
O: 0.8571 0.2688 0.6704  1 Si 1.68
O: 0.8646 0.1243 0.1691  1 P 1.55
O: 0.8784 0.1286 0.8922  1 Si 1.63
O: 0.8804 0.2672 0.3929  1 P 1.52
O: 0.9639 0.4550 0.0528  1 P 1.55
O: 0.9647 0.8467 0.5577  1 P 1.57
O: 0.9800 0.4573 0.3392  1 P 1.57
O: 0.9848 0.8075 0.8402  1 Si 1.65

---

2.
Entry from Materials Project: crystalline Na8TaGa3Si4P2O24 at its relaxed geometry (GGA-PBE).

Summary:
Crystal system: triclinic
Density, g cm⁻³: 3.68
Corrected total energy (MP2020 scheme), eV per atom: -7.052
Size of the total moment, Bohr magnetons per cell: 0.00
SG: P1, No. 1

Unit cell a=8.9580 b=8.9649 c=22.0466 alpha=90.30 beta=90.10 gamma=119.96
Last column: nearest neighbours and their distance in Å.
Fractional coordinates of all 126 atoms:
Na: 0.0000 0.0000 0.0000  6 O 2.39-2.66
Na: 0.9996 0.3697 0.7447  6 O 2.40-2.63
Na: 0.0260 0.0677 0.6615  5 O 2.41-2.58
Na: 0.0323 0.7018 0.1686  6 O 2.42-2.70
Na: 0.2939 0.6900 0.6644  5 O 2.39-2.58
Na: 0.2967 0.3307 0.1676  6 O 2.43-2.64
Na: 0.3298 0.0359 0.5774  5 O 2.38-2.64
Na: 0.3327 0.0356 0.0825  6 O 2.48-2.56
Na: 0.3366 0.6721 0.3321  5 O 2.42-2.66
Na: 0.3412 0.4060 0.8305  5 O 2.38-2.59
Na: 0.3663 0.3626 0.5001  6 O 2.44-2.61
Na: 0.3686 0.7379 0.9990  6 O 2.44-2.65
Na: 0.6242 0.3614 0.0001  6 O 2.43-2.64
Na: 0.6291 0.0000 0.4990  5 O 2.38-2.61
Na: 0.6621 0.0672 0.1675  6 O 2.43-2.65
Na: 0.6621 0.6996 0.9152  6 O 2.47-2.60
Na: 0.6659 0.6998 0.4163  6 O 2.47-2.57
Na: 0.6712 0.3413 0.6625  5 O 2.39-2.61
Na: 0.6914 0.0236 0.8315  5 O 2.36-2.60
Na: 0.6908 0.4008 0.3323  5 O 2.40-2.67
Na: 0.9590 0.6704 0.8302  5 O 2.41-2.56
Na: 0.9643 0.0262 0.3324  5 O 2.40-2.66
Na: 0.9966 0.7379 0.4989  6 O 2.43-2.63
Na: 0.9977 0.3669 0.2486  6 O 2.53-2.56
Ta: 0.3280 0.0339 0.7290  6 O 1.94-2.08
Ta: 0.9923 0.3625 0.3964  6 O 1.93-2.04
Ta: 0.9992 0.3634 0.8968  6 O 1.93-2.03
Ga: 0.9996 0.3676 0.5993  5 O 1.91-2.04
Ga: 0.3296 0.0322 0.2386  3 O 1.89
Ga: 0.3313 0.0401 0.4321  5 O 1.91-2.05
Ga: 0.3369 0.0396 0.9332  5 O 1.91-2.03
Ga: 0.6587 0.7005 0.0651  6 O 1.96-2.15
Ga: 0.6617 0.6931 0.7671  6 O 1.92-2.06
Ga: 0.6644 0.6995 0.2706  6 O 1.97-2.06
Ga: 0.6719 0.6957 0.5640  5 O 1.91-2.09
Ga: 0.9956 0.3612 0.0978  3 O 1.88-2.00
Si: 0.0368 0.0267 0.8351  4 O 1.61-1.67
Si: 0.0420 0.7471 0.3323  4 O 1.62-1.67
Si: 0.2934 0.3654 0.0027  4 O 1.62-1.69
Si: 0.3347 0.3247 0.3316  4 O 1.62-1.67
Si: 0.3353 0.7452 0.8346  4 O 1.61-1.67
Si: 0.3741 0.4159 0.6649  4 O 1.62-1.70
Si: 0.6141 0.0278 0.3322  4 O 1.62-1.68
Si: 0.6207 0.3274 0.8343  4 O 1.61-1.66
Si: 0.7010 0.0705 0.0024  4 O 1.62-1.69
Si: 0.7011 0.3641 0.5023  4 O 1.63-1.68
Si: 0.9495 0.6938 0.6656  4 O 1.62-1.69
Si: 0.9967 0.0703 0.5025  4 O 1.63-1.69
P: 0.2901 0.6597 0.5012  4 O 1.53-1.58
P: 0.3718 0.6996 0.1660  4 O 1.55-1.57
P: 0.6651 0.4104 0.1653  4 O 1.55-1.57
P: 0.6653 0.9869 0.6662  4 O 1.53-1.59
P: 0.9537 0.9890 0.1658  4 O 1.55-1.57
P: 0.9976 0.6582 0.0019  4 O 1.53-1.59
O: 0.0225 0.5524 0.3396  1 Si 1.67
O: 0.0246 0.2062 0.8392  1 Si 1.67
O: 0.0321 0.5752 0.0572  1 P 1.54
O: 0.0369 0.1988 0.5602  1 Si 1.63
O: 0.1233 0.9931 0.8935  1 Si 1.61
O: 0.1238 0.8645 0.3926  1 Si 1.62
O: 0.1364 0.0080 0.1700  1 P 1.56
O: 0.1474 0.8699 0.6730  1 Si 1.69
O: 0.1568 0.5538 0.8396  1 Si 1.67
O: 0.1587 0.8356 0.9948  1 P 1.53
O: 0.1606 0.3455 0.3398  1 Si 1.67
O: 0.1619 0.8198 0.2715  1 Si 1.64
O: 0.1657 0.0710 0.7754  1 Si 1.67
O: 0.1662 0.3296 0.0599  1 Si 1.62
O: 0.1686 0.0532 0.4945  1 Si 1.63
O: 0.1739 0.5782 0.5571  1 P 1.55
O: 0.1779 0.3853 0.6608  1 Si 1.64
O: 0.1883 0.5355 0.1598  1 P 1.57
O: 0.1999 0.4027 0.9426  1 Si 1.69
O: 0.2017 0.5396 0.4441  1 P 1.58
O: 0.2853 0.2017 0.2712  1 Si 1.64
O: 0.2945 0.8316 0.7747  1 Si 1.66
O: 0.3043 0.1908 0.9943  1 Si 1.63
O: 0.3052 0.8371 0.4946  1 P 1.53
O: 0.3541 0.8638 0.1704  1 P 1.56
O: 0.3568 0.2198 0.6728  1 Si 1.70
O: 0.3665 0.8637 0.8937  1 Si 1.61
O: 0.3726 0.2459 0.3918  1 Si 1.62
O: 0.4530 0.6639 0.2220  1 P 1.55
O: 0.4536 0.5295 0.7266  1 Si 1.63
O: 0.4679 0.6728 0.5049  1 P 1.54
O: 0.4827 0.5405 0.0060  1 Si 1.64
O: 0.4870 0.7340 0.1090  1 P 1.56
O: 0.4977 0.4938 0.6061  1 Si 1.62
O: 0.4980 0.9921 0.3924  1 Si 1.62
O: 0.4996 0.0068 0.6729  1 P 1.59
O: 0.5014 0.2431 0.8928  1 Si 1.61
O: 0.5018 0.2283 0.1697  1 P 1.56
O: 0.5016 0.5176 0.3249  1 Si 1.63
O: 0.5026 0.7230 0.8269  1 Si 1.62
O: 0.5123 0.0529 0.9944  1 Si 1.63
O: 0.5144 0.1896 0.4944  1 Si 1.63
O: 0.5354 0.1981 0.7747  1 Si 1.66
O: 0.5434 0.0779 0.2716  1 Si 1.64
O: 0.6236 0.8722 0.6097  1 P 1.53
O: 0.6321 0.4925 0.1083  1 P 1.56
O: 0.6439 0.5172 0.8279  1 Si 1.61
O: 0.6440 0.8633 0.3252  1 Si 1.63
O: 0.6880 0.5396 0.5033  1 Si 1.64
O: 0.6931 0.8841 0.0059  1 Si 1.64
O: 0.6969 0.9096 0.7239  1 P 1.54
O: 0.6992 0.5256 0.2220  1 P 1.55
O: 0.7888 0.2001 0.0597  1 Si 1.62
O: 0.7917 0.3285 0.5602  1 Si 1.63
O: 0.8107 0.2040 0.3392  1 Si 1.68
O: 0.8127 0.3426 0.8399  1 Si 1.66
O: 0.8170 0.8851 0.5049  1 Si 1.64
O: 0.8233 0.1705 0.6622  1 P 1.55
O: 0.8308 0.1670 0.9424  1 Si 1.69
O: 0.8312 0.3937 0.1603  1 P 1.57
O: 0.8310 0.4001 0.4424  1 Si 1.68
O: 0.8321 0.6710 0.0055  1 P 1.55
O: 0.8366 0.6632 0.7268  1 Si 1.63
O: 0.8381 0.9084 0.2220  1 P 1.55
O: 0.8458 0.8644 0.8260  1 Si 1.61
O: 0.8483 0.7204 0.3253  1 Si 1.64
O: 0.8719 0.8730 0.1085  1 P 1.56
O: 0.8779 0.7476 0.6070  1 Si 1.62
O: 0.9652 0.5385 0.9443  1 P 1.59
O: 0.9662 0.1678 0.4423  1 Si 1.69
O: 0.9719 0.1721 0.1612  1 P 1.57
O: 0.9770 0.5268 0.6602  1 Si 1.64

---

3.
Entry from Materials Project: crystalline NaTa3GaSiP5O24 at its relaxed geometry (GGA-PBE).

Summary:
Crystal system: triclinic
Density, g cm⁻³: 4.03
Corrected total energy (MP2020 scheme), eV per atom: -8.420
Size of the total moment, Bohr magnetons per cell: 0.00
SG: P1, No. 1

Unit cell a=8.7128 b=8.7152 c=22.6004 alpha=90.08 beta=90.14 gamma=119.97
Last column: nearest neighbours and their distance in Å.
Fractional coordinates of all 105 atoms:
Na: 0.0000 0.0000 0.0000  6 O 2.47-2.73
Na: 0.0020 0.9982 0.5009  4 O 2.44-2.69
Na: 0.3341 0.6671 0.6543  3 O 2.38-2.42
Ta: 0.0007 0.9976 0.3510  6 O 1.90-2.02
Ta: 0.3298 0.6649 0.3056  6 O 1.90-2.01
Ta: 0.3326 0.6622 0.8057  6 O 1.91-2.03
Ta: 0.3364 0.6629 0.0211  6 O 1.93-2.06
Ta: 0.6683 0.3335 0.1859  6 O 1.95-2.00
Ta: 0.6677 0.3335 0.6822  6 O 1.95-2.00
Ta: 0.6692 0.3345 0.4723  6 O 1.90-2.03
Ta: 0.6692 0.3343 0.9715  6 O 1.90-2.04
Ta: 0.9990 0.9994 0.8497  6 O 1.94-2.02
Ga: 0.0000 0.9991 0.1420  6 O 1.94-2.02
Ga: 0.0010 0.9992 0.6394  6 O 1.97-2.00
Ga: 0.3324 0.6689 0.5162  6 O 1.87-2.06
Si: 0.0508 0.3812 0.9122  4 O 1.62-1.63
Si: 0.0542 0.6667 0.4151  4 O 1.58-1.66
Si: 0.6197 0.6679 0.9126  4 O 1.62-1.63
P: 0.0023 0.7179 0.7414  4 O 1.50-1.56
P: 0.0036 0.2817 0.2426  4 O 1.51-1.56
P: 0.2819 0.9981 0.2426  4 O 1.51-1.56
P: 0.2836 0.2821 0.7417  4 O 1.50-1.57
P: 0.3335 0.3851 0.4137  4 O 1.51-1.57
P: 0.3332 0.9483 0.9125  4 O 1.53-1.55
P: 0.3733 0.0388 0.5780  4 O 1.53-1.59
P: 0.3743 0.3230 0.0796  4 O 1.52-1.56
P: 0.6159 0.9469 0.4139  4 O 1.51-1.57
P: 0.6665 0.6272 0.5779  4 O 1.53-1.58
P: 0.6752 0.0483 0.0795  4 O 1.52-1.55
P: 0.7174 0.7196 0.2425  4 O 1.51-1.56
P: 0.7168 0.9990 0.7414  4 O 1.50-1.57
P: 0.9528 0.6265 0.0796  4 O 1.52-1.56
P: 0.9616 0.3319 0.5784  4 O 1.52-1.58
O: 0.0245 0.8376 0.4023  1 Si 1.66
O: 0.0324 0.1873 0.9033  1 Si 1.63
O: 0.0365 0.2038 0.1877  1 P 1.51
O: 0.0368 0.8323 0.6879  1 P 1.50
O: 0.1353 0.6401 0.0702  1 P 1.55
O: 0.1369 0.5016 0.8534  1 Si 1.63
O: 0.1414 0.5004 0.5743  1 P 1.52
O: 0.1408 0.6384 0.3543  1 Si 1.65
O: 0.1653 0.4684 0.2537  1 P 1.55
O: 0.1666 0.6940 0.7512  1 P 1.56
O: 0.1681 0.2040 0.6879  1 P 1.50
O: 0.1691 0.1970 0.4018  1 P 1.57
O: 0.1696 0.9628 0.1879  1 P 1.51
O: 0.1700 0.9714 0.9030  1 P 1.55
O: 0.1731 0.4728 0.9701  1 Si 1.62
O: 0.1752 0.7105 0.4721  1 Si 1.58
O: 0.1906 0.1625 0.0853  1 P 1.52
O: 0.1934 0.0284 0.5845  1 P 1.53
O: 0.1999 0.0312 0.2987  1 P 1.55
O: 0.2015 0.1725 0.7989  1 P 1.56
O: 0.2962 0.4596 0.4686  1 P 1.51
O: 0.2993 0.8335 0.9676  1 P 1.53
O: 0.3090 0.4723 0.7511  1 P 1.57
O: 0.3117 0.8399 0.2545  1 P 1.55
O: 0.3642 0.4958 0.0717  1 P 1.56
O: 0.3643 0.4962 0.3568  1 P 1.55
O: 0.3638 0.8674 0.8561  1 P 1.54
O: 0.3673 0.8608 0.5751  1 P 1.53
O: 0.4653 0.3006 0.0242  1 P 1.55
O: 0.4673 0.1582 0.5236  1 P 1.56
O: 0.4698 0.1640 0.2348  1 P 1.56
O: 0.4715 0.3068 0.7350  1 P 1.55
O: 0.4941 0.1378 0.6337  1 P 1.59
O: 0.4943 0.3568 0.4215  1 P 1.55
O: 0.4951 0.3569 0.1343  1 P 1.55
O: 0.4958 0.1324 0.9223  1 P 1.53
O: 0.4969 0.6368 0.5725  1 P 1.53
O: 0.5012 0.6398 0.8536  1 Si 1.63
O: 0.5030 0.8675 0.0711  1 P 1.55
O: 0.5057 0.8634 0.3569  1 P 1.55
O: 0.5277 0.8380 0.7519  1 P 1.56
O: 0.5318 0.6917 0.2551  1 P 1.54
O: 0.5323 0.7046 0.9704  1 Si 1.62
O: 0.5462 0.8332 0.4685  1 P 1.51
O: 0.6364 0.1328 0.4216  1 P 1.55
O: 0.6365 0.4933 0.9228  1 Si 1.62
O: 0.6430 0.5071 0.6334  1 P 1.58
O: 0.6445 0.1376 0.1343  1 P 1.55
O: 0.6914 0.5305 0.5234  1 P 1.57
O: 0.6967 0.1653 0.7350  1 P 1.55
O: 0.6971 0.5321 0.2346  1 P 1.56
O: 0.6975 0.1627 0.0243  1 P 1.55
O: 0.7959 0.8307 0.1879  1 P 1.51
O: 0.7959 0.9622 0.6881  1 P 1.50
O: 0.8068 0.9780 0.4019  1 P 1.57
O: 0.8176 0.8376 0.9034  1 Si 1.63
O: 0.8297 0.0272 0.7989  1 P 1.57
O: 0.8341 0.8020 0.2986  1 P 1.55
O: 0.8357 0.5323 0.0243  1 P 1.56
O: 0.8371 0.0269 0.0852  1 P 1.52
O: 0.8366 0.8062 0.5841  1 P 1.53
O: 0.8378 0.5305 0.7347  1 P 1.55
O: 0.8393 0.3068 0.2346  1 P 1.56
O: 0.8399 0.3067 0.5237  1 P 1.57
O: 0.8555 0.3545 0.9226  1 Si 1.62
O: 0.8550 0.4954 0.4222  1 Si 1.64
O: 0.8643 0.3564 0.6336  1 P 1.58
O: 0.8650 0.5058 0.1340  1 P 1.55
O: 0.9697 0.1612 0.5843  1 P 1.53
O: 0.9701 0.1689 0.2987  1 P 1.54
O: 0.9717 0.8088 0.0850  1 P 1.52
O: 0.9745 0.8005 0.7989  1 P 1.56

---

Q: Among the records above, which one has the highest density?
A: NaTa3GaSiP5O24

---

Q: Which value of density does entry 3 give?
A: 4.03 g cm⁻³

---

Q: size of the total moment of number 3 (NaTa3GaSiP5O24)?
A: 0.00 Bohr magnetons per cell